1.
Density functional theory data (PBE) for a relaxed Al2ZnS4 crystal.

a b c (Å): 12.445 12.445 12.445
angles (deg): 17.04 17.04 17.04
Fractional positions:
Al: 0.000 0.000 0.000
Al: 0.234 0.234 0.234
Zn: 0.768 0.768 0.768
S: 0.121 0.121 0.121
S: 0.295 0.295 0.295
S: 0.697 0.697 0.697
S: 0.876 0.876 0.876

Total magnetic moment   0.00 μB per cell
Space group   R3m (160)
Energy of formation   -1.1875 eV per atom
Crystal system   trigonal


2.
Density functional theory data (PBE) for a relaxed Al2Zn2S5 crystal.

a b c (Å): 3.681 3.681 30.310
angles (deg): 90.00 90.00 120.00
Fractional positions:
Al: 0.333 0.667 0.086
Al: 0.333 0.667 0.414
Al: 0.667 0.333 0.586
Al: 0.667 0.333 0.914
Zn: 0.000 0.000 0.200
Zn: 0.000 0.000 0.300
Zn: 0.000 0.000 0.700
Zn: 0.000 0.000 0.800
S: 0.333 0.667 0.158
S: 0.333 0.667 0.342
S: 0.333 0.667 0.554
S: 0.333 0.667 0.750
S: 0.333 0.667 0.946
S: 0.667 0.333 0.054
S: 0.667 0.333 0.250
S: 0.667 0.333 0.446
S: 0.667 0.333 0.658
S: 0.667 0.333 0.842

Total magnetic moment   0.00 μB per cell
Space group   P6_3/mmc (194)
Energy of formation   -1.0906 eV per atom
Crystal system   hexagonal


Number 1: energy -4.5139 eV per atom. Number 2: energy -4.2214 eV per atom.